Sr2CdSn after structural relaxation. Source: Materials Project, functional PBE.

Computed properties:
As for the formation energy: -0.538 eV/atom. Its space group is Fm-3m (225).

a b c (Å): 5.7407 5.7407 5.7407
angles (deg): 60.00 60.00 60.00
Last column: nearest neighbours and their distance in Å.
Fractional coordinates of all 4 atoms:
1 Sr 0.2500 0.2500 0.2500  4 Sn 3.52, 4 Cd 3.52
2 Sr 0.7500 0.7500 0.7500  4 Sn 3.52, 4 Cd 3.52
3 Cd 0.0000 0.0000 0.0000  8 Sr 3.52
4 Sn 0.5000 0.5000 0.5000  8 Sr 3.52